1.
The following is a GGA-PBE calculation of a relaxed CsAlH24S2O20 crystal, from Materials Project.

The structure in POSCAR format:
```
CsAlH24S2O20
1.0
12.481 0.000 0.000
0.000 12.481 0.000
0.000 0.000 12.481
Cs Al H S O
4 4 96 8 80
direct
0.000 0.000 0.000 Cs
0.000 0.500 0.500 Cs
0.500 0.000 0.500 Cs
0.500 0.500 0.000 Cs
0.000 0.000 0.500 Al
0.000 0.500 0.000 Al
0.500 0.000 0.000 Al
0.500 0.500 0.500 Al
0.005 0.734 0.722 H
0.005 0.766 0.222 H
0.019 0.701 0.065 H
0.019 0.799 0.565 H
0.024 0.195 0.560 H
0.024 0.305 0.060 H
0.060 0.024 0.305 H
0.060 0.476 0.805 H
0.065 0.019 0.701 H
0.065 0.481 0.201 H
0.122 0.725 0.679 H
0.122 0.775 0.179 H
0.179 0.122 0.775 H
0.179 0.378 0.275 H
0.195 0.560 0.024 H
0.195 0.940 0.524 H
0.201 0.065 0.481 H
0.201 0.435 0.981 H
0.222 0.005 0.766 H
0.222 0.495 0.266 H
0.225 0.679 0.378 H
0.225 0.821 0.878 H
0.234 0.722 0.495 H
0.234 0.778 0.995 H
0.266 0.222 0.495 H
0.266 0.278 0.995 H
0.275 0.179 0.378 H
0.275 0.321 0.878 H
0.278 0.505 0.766 H
0.278 0.995 0.266 H
0.299 0.565 0.481 H
0.299 0.935 0.981 H
0.305 0.060 0.024 H
0.305 0.440 0.524 H
0.321 0.622 0.775 H
0.321 0.878 0.275 H
0.378 0.225 0.679 H
0.378 0.275 0.179 H
0.435 0.519 0.701 H
0.435 0.981 0.201 H
0.440 0.524 0.305 H
0.440 0.976 0.805 H
0.476 0.695 0.560 H
0.476 0.805 0.060 H
0.481 0.201 0.065 H
0.481 0.299 0.565 H
0.495 0.234 0.722 H
0.495 0.266 0.222 H
0.505 0.734 0.778 H
0.505 0.766 0.278 H
0.519 0.701 0.435 H
0.519 0.799 0.935 H
0.524 0.195 0.940 H
0.524 0.305 0.440 H
0.560 0.024 0.195 H
0.560 0.476 0.695 H
0.565 0.019 0.799 H
0.565 0.481 0.299 H
0.622 0.725 0.821 H
0.622 0.775 0.321 H
0.679 0.122 0.725 H
0.679 0.378 0.225 H
0.695 0.560 0.476 H
0.695 0.940 0.976 H
0.701 0.065 0.019 H
0.701 0.435 0.519 H
0.722 0.005 0.734 H
0.722 0.495 0.234 H
0.725 0.679 0.122 H
0.725 0.821 0.622 H
0.734 0.722 0.005 H
0.734 0.778 0.505 H
0.766 0.222 0.005 H
0.766 0.278 0.505 H
0.775 0.179 0.122 H
0.775 0.321 0.622 H
0.778 0.505 0.734 H
0.778 0.995 0.234 H
0.799 0.565 0.019 H
0.799 0.935 0.519 H
0.805 0.060 0.476 H
0.805 0.440 0.976 H
0.821 0.622 0.725 H
0.821 0.878 0.225 H
0.878 0.225 0.821 H
0.878 0.275 0.321 H
0.935 0.519 0.799 H
0.935 0.981 0.299 H
0.940 0.524 0.195 H
0.940 0.976 0.695 H
0.976 0.695 0.940 H
0.976 0.805 0.440 H
0.981 0.201 0.435 H
0.981 0.299 0.935 H
0.995 0.234 0.778 H
0.995 0.266 0.278 H
0.172 0.172 0.172 S
0.172 0.328 0.672 S
0.328 0.672 0.172 S
0.328 0.828 0.672 S
0.672 0.172 0.328 S
0.672 0.328 0.828 S
0.828 0.672 0.328 S
0.828 0.828 0.828 S
0.002 0.002 0.652 O
0.002 0.498 0.152 O
0.002 0.652 0.002 O
0.002 0.848 0.502 O
0.046 0.716 0.657 O
0.046 0.784 0.157 O
0.064 0.222 0.160 O
0.064 0.278 0.660 O
0.152 0.002 0.498 O
0.152 0.498 0.998 O
0.157 0.046 0.784 O
0.157 0.454 0.284 O
0.160 0.064 0.222 O
0.160 0.436 0.722 O
0.216 0.657 0.454 O
0.216 0.843 0.954 O
0.222 0.160 0.064 O
0.222 0.340 0.564 O
0.241 0.241 0.241 O
0.241 0.259 0.741 O
0.259 0.741 0.241 O
0.259 0.759 0.741 O
0.278 0.660 0.064 O
0.278 0.840 0.564 O
0.284 0.157 0.454 O
0.284 0.343 0.954 O
0.340 0.564 0.222 O
0.340 0.936 0.722 O
0.343 0.546 0.784 O
0.343 0.954 0.284 O
0.348 0.502 0.498 O
0.348 0.998 0.998 O
0.436 0.722 0.160 O
0.436 0.778 0.660 O
0.454 0.216 0.657 O
0.454 0.284 0.157 O
0.498 0.152 0.002 O
0.498 0.348 0.502 O
0.498 0.502 0.652 O
0.498 0.998 0.152 O
0.502 0.002 0.848 O
0.502 0.498 0.348 O
0.502 0.652 0.498 O
0.502 0.848 0.998 O
0.546 0.716 0.843 O
0.546 0.784 0.343 O
0.564 0.222 0.340 O
0.564 0.278 0.840 O
0.652 0.002 0.002 O
0.652 0.498 0.502 O
0.657 0.046 0.716 O
0.657 0.454 0.216 O
0.660 0.064 0.278 O
0.660 0.436 0.778 O
0.716 0.657 0.046 O
0.716 0.843 0.546 O
0.722 0.160 0.436 O
0.722 0.340 0.936 O
0.741 0.241 0.259 O
0.741 0.259 0.759 O
0.759 0.741 0.259 O
0.759 0.759 0.759 O
0.778 0.660 0.436 O
0.778 0.840 0.936 O
0.784 0.157 0.046 O
0.784 0.343 0.546 O
0.840 0.564 0.278 O
0.840 0.936 0.778 O
0.843 0.546 0.716 O
0.843 0.954 0.216 O
0.848 0.502 0.002 O
0.848 0.998 0.502 O
0.936 0.722 0.340 O
0.936 0.778 0.840 O
0.954 0.216 0.843 O
0.954 0.284 0.343 O
0.998 0.152 0.498 O
0.998 0.348 0.998 O
0.998 0.502 0.848 O
0.998 0.998 0.348 O
```

Values from the calculation:
DFT formation energy	-1.550	eV/atom
uncorrected energy	-1015.9	eV per cell


2.
The following is a GGA-PBE calculation of a relaxed CsAlH24S2O20 crystal, from Materials Project.

The structure in POSCAR format:
```
CsAlH24S2O20
1.0
13.879 0.000 0.000
0.000 13.879 0.000
0.000 0.000 13.879
Cs Al H S O
4 4 96 8 80
direct
0.000 0.000 0.000 Cs
0.000 0.500 0.500 Cs
0.500 0.000 0.500 Cs
0.500 0.500 0.000 Cs
0.000 0.000 0.500 Al
0.000 0.500 0.000 Al
0.500 0.000 0.000 Al
0.500 0.500 0.500 Al
0.009 0.741 0.694 H
0.009 0.759 0.194 H
0.038 0.691 0.847 H
0.038 0.809 0.347 H
0.067 0.659 0.815 H
0.067 0.841 0.315 H
0.118 0.736 0.668 H
0.118 0.764 0.168 H
0.153 0.538 0.809 H
0.153 0.962 0.309 H
0.159 0.685 0.933 H
0.159 0.815 0.433 H
0.168 0.118 0.764 H
0.168 0.382 0.264 H
0.185 0.567 0.841 H
0.185 0.933 0.341 H
0.191 0.653 0.962 H
0.191 0.847 0.462 H
0.194 0.009 0.759 H
0.194 0.491 0.259 H
0.236 0.668 0.382 H
0.236 0.832 0.882 H
0.241 0.694 0.491 H
0.241 0.806 0.991 H
0.259 0.194 0.491 H
0.259 0.306 0.991 H
0.264 0.168 0.382 H
0.264 0.332 0.882 H
0.306 0.509 0.759 H
0.306 0.991 0.259 H
0.309 0.153 0.962 H
0.309 0.347 0.462 H
0.315 0.067 0.841 H
0.315 0.433 0.341 H
0.332 0.618 0.764 H
0.332 0.882 0.264 H
0.341 0.185 0.933 H
0.341 0.315 0.433 H
0.347 0.038 0.809 H
0.347 0.462 0.309 H
0.382 0.236 0.668 H
0.382 0.264 0.168 H
0.433 0.159 0.815 H
0.433 0.341 0.315 H
0.462 0.191 0.847 H
0.462 0.309 0.347 H
0.491 0.241 0.694 H
0.491 0.259 0.194 H
0.509 0.741 0.806 H
0.509 0.759 0.306 H
0.538 0.691 0.653 H
0.538 0.809 0.153 H
0.567 0.659 0.685 H
0.567 0.841 0.185 H
0.618 0.736 0.832 H
0.618 0.764 0.332 H
0.653 0.538 0.691 H
0.653 0.962 0.191 H
0.659 0.685 0.567 H
0.659 0.815 0.067 H
0.668 0.118 0.736 H
0.668 0.382 0.236 H
0.685 0.567 0.659 H
0.685 0.933 0.159 H
0.691 0.653 0.538 H
0.691 0.847 0.038 H
0.694 0.009 0.741 H
0.694 0.491 0.241 H
0.736 0.668 0.118 H
0.736 0.832 0.618 H
0.741 0.694 0.009 H
0.741 0.806 0.509 H
0.759 0.194 0.009 H
0.759 0.306 0.509 H
0.764 0.168 0.118 H
0.764 0.332 0.618 H
0.806 0.509 0.741 H
0.806 0.991 0.241 H
0.809 0.153 0.538 H
0.809 0.347 0.038 H
0.815 0.067 0.659 H
0.815 0.433 0.159 H
0.832 0.618 0.736 H
0.832 0.882 0.236 H
0.841 0.185 0.567 H
0.841 0.315 0.067 H
0.847 0.038 0.691 H
0.847 0.462 0.191 H
0.882 0.236 0.832 H
0.882 0.264 0.332 H
0.933 0.159 0.685 H
0.933 0.341 0.185 H
0.962 0.191 0.653 H
0.962 0.309 0.153 H
0.991 0.241 0.806 H
0.991 0.259 0.306 H
0.177 0.177 0.177 S
0.177 0.323 0.677 S
0.323 0.677 0.177 S
0.323 0.823 0.677 S
0.677 0.177 0.323 S
0.677 0.323 0.823 S
0.823 0.677 0.323 S
0.823 0.823 0.823 S
0.003 0.134 0.491 O
0.003 0.366 0.991 O
0.009 0.503 0.134 O
0.009 0.997 0.634 O
0.054 0.719 0.644 O
0.054 0.781 0.144 O
0.073 0.196 0.193 O
0.073 0.304 0.693 O
0.134 0.009 0.503 O
0.134 0.491 0.003 O
0.144 0.054 0.781 O
0.144 0.446 0.281 O
0.193 0.073 0.196 O
0.193 0.427 0.696 O
0.196 0.193 0.073 O
0.196 0.307 0.573 O
0.219 0.644 0.446 O
0.219 0.856 0.946 O
0.238 0.238 0.238 O
0.238 0.262 0.738 O
0.262 0.738 0.238 O
0.262 0.762 0.738 O
0.281 0.144 0.446 O
0.281 0.356 0.946 O
0.304 0.693 0.073 O
0.304 0.807 0.573 O
0.307 0.573 0.196 O
0.307 0.927 0.696 O
0.356 0.554 0.781 O
0.356 0.946 0.281 O
0.366 0.509 0.503 O
0.366 0.991 0.003 O
0.427 0.696 0.193 O
0.427 0.804 0.693 O
0.446 0.219 0.644 O
0.446 0.281 0.144 O
0.491 0.003 0.134 O
0.491 0.497 0.634 O
0.497 0.634 0.491 O
0.497 0.866 0.991 O
0.503 0.134 0.009 O
0.503 0.366 0.509 O
0.509 0.503 0.366 O
0.509 0.997 0.866 O
0.554 0.719 0.856 O
0.554 0.781 0.356 O
0.573 0.196 0.307 O
0.573 0.304 0.807 O
0.634 0.009 0.997 O
0.634 0.491 0.497 O
0.644 0.054 0.719 O
0.644 0.446 0.219 O
0.693 0.073 0.304 O
0.693 0.427 0.804 O
0.696 0.193 0.427 O
0.696 0.307 0.927 O
0.719 0.644 0.054 O
0.719 0.856 0.554 O
0.738 0.238 0.262 O
0.738 0.262 0.762 O
0.762 0.738 0.262 O
0.762 0.762 0.762 O
0.781 0.144 0.054 O
0.781 0.356 0.554 O
0.804 0.693 0.427 O
0.804 0.807 0.927 O
0.807 0.573 0.304 O
0.807 0.927 0.804 O
0.856 0.554 0.719 O
0.856 0.946 0.219 O
0.866 0.509 0.997 O
0.866 0.991 0.497 O
0.927 0.696 0.307 O
0.927 0.804 0.807 O
0.946 0.219 0.856 O
0.946 0.281 0.356 O
0.991 0.003 0.366 O
0.991 0.497 0.866 O
0.997 0.634 0.009 O
0.997 0.866 0.509 O
```

Values from the calculation:
DFT formation energy	-0.761	eV/atom
uncorrected energy	-864.3	eV per cell


What is the uncorrected energy in the second record?
-864.3 eV per cell


Among the records above, which one has the lowest uncorrected energy?
number 1


Among the records above, which one has the highest DFT formation energy?
number 2


Which formula does entry 1 have?
CsAlH24S2O20